# meta-GGA r2SCAN MnO2, relaxed
# Crystal system: monoclinic
# Formation energy from the elements: -1.999 eV per atom
data_MnO2
_chemical_formula_sum 'Mn6 O12'
_space_group_name_H-M_alt 'P 1 2/m 1'
_space_group_IT_number 10
_space_group_name_Hall '-P 2y'
_cell_length_a 9.2825
_cell_length_b 2.8558
_cell_length_c 9.3744
_cell_angle_alpha 90.00
_cell_angle_beta 91.87
_cell_angle_gamma 90.00
loop_
_atom_site_label
_atom_site_type_symbol
_atom_site_fract_x
_atom_site_fract_y
_atom_site_fract_z
_atom_site_occupancy
Mn1 Mn 0.0000 0.0000 0.0000 1
Mn2 Mn 0.0131 0.5000 0.2648 1
Mn3 Mn 0.2343 0.0000 0.5208 1
Mn4 Mn 0.5000 0.5000 0.5000 1
O1 O 0.0917 0.0000 0.6597 1
O2 O 0.0975 0.5000 0.9103 1
O3 O 0.1104 0.0000 0.1742 1
O4 O 0.1472 0.5000 0.4205 1
O5 O 0.3350 0.5000 0.6144 1
O6 O 0.4002 0.0000 0.4063 1